1.
First-principles (PBE-GGA) data for a relaxed CeH3O3 crystal, as listed in the Materials Project.

The structure in CIF format:
```
data_CeH3O3
_cell_length_a 6.6038
_cell_length_b 6.6038
_cell_length_c 3.7354
_cell_angle_alpha 90.00
_cell_angle_beta 90.00
_cell_angle_gamma 120.00
_symmetry_space_group_name_H-M 'P 63/m'
_symmetry_Int_Tables_number 176
_symmetry_space_group_name_Hall '-P 6c'
loop_
_atom_site_label
_atom_site_fract_x
_atom_site_fract_y
_atom_site_fract_z
Ce1 0.3333 0.6667 0.2500
H1 0.1380 0.8516 0.7500
O1 0.0898 0.3955 0.7500
```


2.
First-principles (PBE-GGA) data for a relaxed CaTaBiO5 crystal, as listed in the Materials Project.

The structure in CIF format:
```
data_CaTaBiO5
_cell_length_a 5.630
_cell_length_b 16.534
_cell_length_c 11.516
_cell_angle_alpha 90.00
_cell_angle_beta 90.00
_cell_angle_gamma 90.00
_symmetry_space_group_name_H-M 'P b c a'
_symmetry_Int_Tables_number 61
_symmetry_space_group_name_Hall '-P 2ac 2ab'
loop_
_atom_site_label
_atom_site_fract_x
_atom_site_fract_y
_atom_site_fract_z
Ca1 0.002 0.051 0.140
Ta1 0.012 0.097 0.601
Bi1 0.054 0.726 0.158
O1 0.071 0.196 0.680
O2 0.149 0.523 0.808
O3 0.175 0.626 0.029
O4 0.202 0.558 0.545
O5 0.243 0.152 0.273
```


3.
First-principles (PBE-GGA) data for a relaxed K3TaBr6 crystal, as listed in the Materials Project.

The structure in CIF format:
```
data_K3TaBr6
_cell_length_a 11.466
_cell_length_b 11.466
_cell_length_c 11.466
_cell_angle_alpha 90.00
_cell_angle_beta 90.00
_cell_angle_gamma 90.00
_symmetry_space_group_name_H-M 'F m -3 m'
_symmetry_Int_Tables_number 225
_symmetry_space_group_name_Hall '-F 4 2 3'
loop_
_atom_site_label
_atom_site_fract_x
_atom_site_fract_y
_atom_site_fract_z
K1 0.000 0.000 0.000
K2 0.250 0.250 0.250
Ta1 0.000 0.000 0.500
Br1 0.000 0.000 0.271
```


no.,theoretical density (g/cm3),energy relative to the elements (eV/atom)
1,4.50,-2.1475
2,6.32,-2.8954
3,3.43,-1.5625